Entry 1:
Eu3Cr | the Materials Project database | PBE | optimized geometry; total magnetic moment = 6.644 μB per atom; polymorph energy (0 for the lowest one) = 0.07 eV/f.u.
1.0
5.206 0.000 0.000
0.000 5.206 0.000
0.000 0.000 5.206
Eu Cr
3 1
Direct
0.000 0.000 0.500
0.000 0.500 0.000
0.500 0.000 0.000
0.500 0.500 0.500

***

Entry 2:
K2NbCl3 | the Materials Project database | PBE | optimized geometry; total magnetic moment = 0.541 μB per atom
1.0
7.331 0.000 0.000
1.001 7.488 0.000
1.591 -0.058 41.145
K Nb Cl
20 10 30
Direct
0.000 0.000 0.000
0.001 0.115 0.223
0.008 0.518 0.634
0.040 0.660 0.850
0.047 0.082 0.112
0.141 0.525 0.533
0.252 0.556 0.436
0.315 0.045 0.837
0.317 0.551 0.330
0.370 0.114 0.931
0.402 0.560 0.234
0.500 0.066 0.730
0.592 0.643 0.124
0.634 0.075 0.627
0.684 0.045 0.523
0.693 0.611 0.035
0.767 0.644 0.937
0.880 0.062 0.424
0.904 0.566 0.740
0.965 0.077 0.328
0.137 0.019 0.591
0.247 0.374 0.034
0.395 0.053 0.406
0.434 0.101 0.037
0.492 0.588 0.677
0.522 0.070 0.182
0.579 0.550 0.832
0.722 0.536 0.467
0.855 0.563 0.283
0.875 0.027 0.792
0.034 0.926 0.913
0.049 0.482 0.986
0.078 0.798 0.273
0.157 0.316 0.279
0.171 0.296 0.381
0.190 0.838 0.381
0.281 0.425 0.712
0.312 0.850 0.068
0.314 0.838 0.178
0.324 0.783 0.632
0.372 0.229 0.575
0.379 0.367 0.169
0.447 0.720 0.494
0.460 0.334 0.081
0.483 0.879 0.987
0.484 0.328 0.873
0.541 0.334 0.995
0.560 0.779 0.877
0.645 0.798 0.791
0.674 0.324 0.787
0.726 0.441 0.333
0.743 0.325 0.687
0.743 0.794 0.680
0.777 0.956 0.064
0.830 0.534 0.222
0.892 0.271 0.575
0.898 0.804 0.581
0.931 0.773 0.478
0.985 0.434 0.078
0.995 0.302 0.475

***

Entry 3:
VASP calculation (PBE) on SiO2 after structural relaxation.

Geometry as POSCAR:
```
SiO2
1.0
4.491 -2.461 0.000
4.491 2.461 0.000
-3.386 0.000 8.121
Si O
4 8
Direct
0.049 0.326 0.313
0.326 0.049 0.813
0.674 0.951 0.187
0.951 0.674 0.687
0.000 0.500 0.500
0.045 0.955 0.750
0.171 0.421 0.809
0.421 0.171 0.309
0.500 0.000 0.000
0.579 0.829 0.691
0.829 0.579 0.191
0.955 0.045 0.250
```

***

Entry 4:
SbH3CSCl6O | the Materials Project database | PBE | optimized geometry; total magnetic moment = 0.000 μB per atom
1.0
6.774 0.000 0.000
0.000 20.166 0.000
-5.246 0.000 9.221
Sb H C S Cl O
4 12 4 4 24 4
Direct
0.050 0.125 0.215
0.050 0.375 0.715
0.950 0.625 0.285
0.950 0.875 0.785
0.039 0.557 0.869
0.039 0.637 0.793
0.039 0.863 0.293
0.039 0.943 0.369
0.255 0.618 0.976
0.255 0.882 0.476
0.745 0.118 0.524
0.745 0.382 0.024
0.961 0.057 0.631
0.961 0.137 0.707
0.961 0.363 0.207
0.961 0.443 0.131
0.078 0.610 0.892
0.078 0.890 0.392
0.922 0.110 0.608
0.922 0.390 0.108
0.090 0.144 0.538
0.090 0.356 0.038
0.910 0.644 0.962
0.910 0.856 0.462
0.046 0.156 0.998
0.046 0.344 0.498
0.226 0.541 0.391
0.226 0.959 0.891
0.237 0.703 0.317
0.237 0.797 0.817
0.332 0.207 0.360
0.332 0.293 0.860
0.344 0.045 0.286
0.344 0.455 0.786
0.406 0.124 0.709
0.406 0.376 0.209
0.594 0.624 0.791
0.594 0.876 0.291
0.656 0.545 0.214
0.656 0.955 0.714
0.668 0.707 0.140
0.668 0.793 0.640
0.763 0.203 0.183
0.763 0.297 0.683
0.774 0.041 0.109
0.774 0.459 0.609
0.954 0.656 0.502
0.954 0.844 0.002
0.048 0.095 0.417
0.048 0.405 0.917
0.952 0.595 0.083
0.952 0.905 0.583

***

Entry 5:
CdHg3 | the Materials Project database | PBE | optimized geometry; polymorph energy (0 for the lowest one) = 0.03 eV/f.u.
1.0
0.000 3.863 3.863
3.863 0.000 3.863
3.863 3.863 0.000
Cd Hg
1 3
Direct
0.000 0.000 0.000
0.250 0.250 0.250
0.500 0.500 0.500
0.750 0.750 0.750

***

Entry 6:
Sr3YN3 | the Materials Project database | PBE | optimized geometry; total magnetic moment = 0.000 μB per atom
1.0
8.248 0.000 0.000
0.000 5.413 0.000
-4.123 0.000 7.150
Sr Y N
6 2 6
Direct
0.077 0.250 0.250
0.250 0.250 0.827
0.327 0.750 0.577
0.673 0.250 0.423
0.750 0.750 0.173
0.923 0.750 0.750
0.333 0.750 0.166
0.667 0.250 0.834
0.097 0.750 0.227
0.273 0.750 0.870
0.371 0.250 0.597
0.629 0.750 0.403
0.727 0.250 0.130
0.903 0.250 0.773

***

Formation energy: 1.8 -7.5 -9.8 -7.6 0.2 -5.1 (eV/f.u.)
DFT total energy: -38.65 -23.51 -23.73 -50.67 -1.67 -40.59 (eV per formula unit)